Arrangement one

Mn12O7F17 (PBE with a Hubbard U, optimized geometry); symmetry = P1 (1)
1.0
-4.4314 2.4364 -0.0966
-2.0714 -2.8174 4.4801
5.1847 10.5284 9.9094
Mn O F
12 7 17
Direct
0.9703 0.9105 0.9983
0.0301 0.6138 0.8329
0.9829 0.9340 0.6601
0.0149 0.4566 0.4965
0.9700 0.8863 0.3305
0.9471 0.4814 0.1794
0.5365 0.1187 0.8289
0.5140 0.3848 0.0050
0.5326 0.5654 0.3414
0.5058 0.1003 0.4887
0.5169 0.5565 0.6810
0.4901 0.0146 0.1683
0.8090 0.8844 0.8873
0.7210 0.1222 0.0585
0.7094 0.7729 0.2522
0.8229 0.6842 0.7318
0.8200 0.6616 0.4099
0.3505 0.3843 0.4302
0.3227 0.4057 0.7807
0.7841 0.1869 0.7314
0.8369 0.1540 0.4185
0.6651 0.8661 0.5786
0.7543 0.3817 0.9003
0.7473 0.6217 0.0664
0.6500 0.2945 0.2448
0.6888 0.3681 0.5731
0.2615 0.3386 0.1038
0.2316 0.6276 0.9469
0.1916 0.6401 0.5984
0.2143 0.6000 0.2688
0.1764 0.1426 0.5705
0.2975 0.1230 0.9349
0.1381 0.0979 0.2478
0.3032 0.8817 0.4027
0.1960 0.8438 0.1006
0.2967 0.8934 0.7508


Arrangement two

Mn12O7F17 (PBE with a Hubbard U, optimized geometry); symmetry = P1 (1)
1.0
-3.8950 0.5614 -2.8221
0.2713 -5.3248 -2.3394
-9.3375 -5.8255 11.3658
Mn O F
12 7 17
Direct
0.0030 0.8231 0.4168
0.9679 0.1665 0.2452
0.0042 0.8464 0.0843
0.9949 0.8489 0.7467
0.9918 0.1830 0.5832
0.9900 0.1707 0.9047
0.4898 0.6488 0.5955
0.4915 0.6727 0.9269
0.5053 0.6479 0.2570
0.4928 0.3365 0.0842
0.4911 0.3493 0.4070
0.5132 0.3485 0.7470
0.7777 0.1129 0.1338
0.7762 0.1113 0.7959
0.7177 0.3929 0.3089
0.7073 0.3953 0.6427
0.2750 0.6091 0.0366
0.2865 0.6095 0.3573
0.2664 0.6096 0.6966
0.7633 0.8903 0.3072
0.7769 0.8902 0.6378
0.7866 0.8866 0.9744
0.7570 0.1216 0.4684
0.7350 0.6184 0.1500
0.7232 0.6204 0.4880
0.7504 0.6184 0.8159
0.7314 0.3820 0.9805
0.2731 0.3720 0.1905
0.2670 0.3837 0.5144
0.3008 0.3792 0.8566
0.2350 0.8749 0.1962
0.2379 0.8810 0.5317
0.2137 0.1096 0.3562
0.2410 0.1045 0.0187
0.2281 0.8813 0.8529
0.2374 0.1030 0.6904


Arrangement three

Mn12O7F17 (PBE with a Hubbard U, optimized geometry); symmetry = P1 (1)
1.0
-0.0382 -4.3328 -1.8966
4.0623 -1.9050 3.6704
-11.2915 -4.5685 10.4070
Mn O F
12 7 17
Direct
0.9993 0.1524 0.4157
0.0269 0.8374 0.2397
0.0039 0.8601 0.9162
0.0162 0.1549 0.0769
0.0320 0.8540 0.5774
0.0079 0.1654 0.7390
0.4935 0.3303 0.5928
0.4981 0.3263 0.9292
0.5339 0.3378 0.2601
0.4912 0.6499 0.0834
0.5085 0.6566 0.4199
0.5253 0.6420 0.7507
0.2225 0.1188 0.6370
0.2099 0.1195 0.9705
0.2342 0.8877 0.1284
0.2233 0.8877 0.4651
0.7107 0.3829 0.0325
0.7357 0.3891 0.3717
0.7177 0.3676 0.6931
0.2169 0.1213 0.3065
0.2370 0.8950 0.8003
0.2643 0.3989 0.1493
0.2767 0.6162 0.3129
0.2649 0.3873 0.4843
0.2744 0.3851 0.8172
0.2560 0.6116 0.6476
0.2543 0.6170 0.9765
0.7223 0.6200 0.1935
0.7160 0.6135 0.5340
0.7337 0.6122 0.8675
0.7581 0.8914 0.3504
0.7881 0.1226 0.1845
0.7592 0.1143 0.5190
0.7399 0.8817 0.0223
0.7700 0.1178 0.8483
0.7775 0.8736 0.6865


arrangement two (20 meV per atom below the next structure)